Record 1
This record from the Materials Project describes a geometry-optimized Mo structure. The functional is PBE-GGA.

Values from the calculation:
total moment	0.00	μB per formula unit
offset from the most stable computed form	332.0	meV per atom
DFT formation energy	0.332	eV/atom

Cell: 5.039 5.193 10.069 Å, 90.00 97.75 90.00°
Fractional coordinates of all 16 atoms:
Mo 0.021 0.000 0.438
Mo 0.072 0.490 0.313
Mo 0.133 0.975 0.192
Mo 0.183 0.434 0.064
Mo 0.317 0.838 0.936
Mo 0.364 0.294 0.809
Mo 0.425 0.767 0.688
Mo 0.478 0.248 0.563
Mo 0.522 0.748 0.437
Mo 0.575 0.267 0.312
Mo 0.636 0.794 0.191
Mo 0.683 0.338 0.064
Mo 0.817 0.934 0.936
Mo 0.867 0.475 0.808
Mo 0.928 0.990 0.687
Mo 0.979 0.500 0.562


Record 2
This record from the Materials Project describes a geometry-optimized Mo structure. The functional is PBE-GGA.

Values from the calculation:
total moment	0.00	μB per formula unit
offset from the most stable computed form	870.8	meV per atom
DFT formation energy	0.871	eV/atom

Cell: 2.790 2.790 2.529 Å, 90.00 90.00 120.00°
Fractional coordinates of all 1 atoms:
Mo 0.000 0.000 0.000


Record 3
This record from the Materials Project describes a geometry-optimized Mo structure. The functional is PBE-GGA.

Values from the calculation:
total moment	0.00	μB per formula unit
offset from the most stable computed form	478.9	meV per atom
DFT formation energy	0.479	eV/atom

Cell: 7.884 2.631 13.658 Å, 90.00 101.21 90.00°
Fractional coordinates of all 16 atoms:
Mo 0.057 0.180 0.418
Mo 0.057 0.820 0.918
Mo 0.175 0.334 0.752
Mo 0.175 0.666 0.252
Mo 0.282 0.439 0.088
Mo 0.282 0.561 0.588
Mo 0.393 0.112 0.916
Mo 0.393 0.888 0.416
Mo 0.607 0.112 0.584
Mo 0.607 0.888 0.084
Mo 0.718 0.439 0.412
Mo 0.718 0.561 0.912
Mo 0.825 0.334 0.748
Mo 0.825 0.666 0.248
Mo 0.943 0.180 0.082
Mo 0.943 0.820 0.582


Record 4
This record from the Materials Project describes a geometry-optimized MoN structure. The functional is PBE-GGA.

Values from the calculation:
total moment	0.00	μB per formula unit
DFT formation energy	-0.299	eV/atom

Cell: 2.975 2.975 6.256 Å, 90.00 90.00 120.00°
Fractional coordinates of all 4 atoms:
Mo 0.333 0.667 0.000
Mo 0.667 0.333 0.500
N 0.333 0.667 0.681
N 0.667 0.333 0.181